No. 1
DFT (PBE) results for an optimized crystal structure of Rb3Al2P3O12. Values from VASP.

Quantum ESPRESSO input file:
```
&SYSTEM
  ibrav = 0, nat = 40, ntyp = 4
/
ATOMIC_SPECIES
O 16.00 O.upf
Al 26.98 Al.upf
P 30.97 P.upf
Rb 85.47 Rb.upf
CELL_PARAMETERS angstrom
4.389 -8.687 0.000
4.389 8.687 0.000
0.000 0.000 8.957
ATOMIC_POSITIONS crystal
O 0.225 0.367 0.850
O 0.581 0.148 0.990
O 0.593 0.016 0.220
Al 0.179 0.514 0.819
O 0.419 0.852 0.490
O 0.694 0.351 0.729
P 0.466 0.876 0.659
Rb 0.357 0.357 0.178
O 0.306 0.649 0.229
Al 0.514 0.179 0.819
P 0.534 0.124 0.159
O 0.407 0.984 0.720
Rb 0.162 0.932 0.474
O 0.984 0.407 0.720
O 0.652 0.956 0.688
O 0.305 0.305 0.598
P 0.234 0.234 0.753
O 0.016 0.593 0.220
O 0.852 0.419 0.490
Al 0.821 0.486 0.319
O 0.775 0.633 0.350
O 0.348 0.044 0.188
O 0.695 0.695 0.098
Rb 0.932 0.162 0.474
O 0.148 0.581 0.990
Al 0.486 0.821 0.319
O 0.939 0.939 0.256
Rb 0.643 0.643 0.678
O 0.061 0.061 0.756
O 0.649 0.306 0.229
O 0.633 0.775 0.350
P 0.766 0.766 0.253
P 0.124 0.534 0.159
O 0.044 0.348 0.188
O 0.351 0.694 0.729
O 0.956 0.652 0.688
O 0.367 0.225 0.850
Rb 0.068 0.838 0.974
P 0.876 0.466 0.659
Rb 0.838 0.068 0.974
```

ΔE_f = -2.93 eV/atom
Theoretical density = 2.9 g cm⁻³
Symmetry = Cmc2_1 (36)


No. 2
DFT (PBE) results for an optimized crystal structure of AlSnPS2O12. Values from VASP.

Quantum ESPRESSO input file:
```
&SYSTEM
  ibrav = 0, nat = 102, ntyp = 5
/
ATOMIC_SPECIES
O 16.00 O.upf
Sn 118.71 Sn.upf
P 30.97 P.upf
S 32.06 S.upf
Al 26.98 Al.upf
CELL_PARAMETERS angstrom
-7.421 1.848 -3.770
0.280 -5.815 6.241
-3.617 15.922 14.924
ATOMIC_POSITIONS crystal
O 0.453 0.294 0.027
O 0.823 0.527 0.741
Sn 0.341 0.662 0.313
O 0.311 0.842 0.259
P 0.959 0.340 0.585
O 0.840 0.807 0.307
O 0.156 0.184 0.405
O 0.512 0.884 0.363
S 0.658 0.620 0.585
O 0.967 0.807 0.807
O 0.494 0.127 0.638
P 0.991 0.711 0.752
S 0.989 0.287 0.251
S 0.962 0.620 0.085
O 0.297 0.464 0.473
O 0.372 0.487 0.361
O 0.164 0.967 0.909
O 0.121 0.635 0.361
Sn 0.321 0.662 0.813
O 0.035 0.827 0.694
O 0.702 0.152 0.029
Al 0.999 0.998 0.355
S 0.626 0.952 0.419
O 0.209 0.037 0.304
O 0.980 0.172 0.591
S 0.626 0.675 0.917
O 0.538 0.839 0.471
O 0.780 0.964 0.696
O 0.701 0.550 0.529
O 0.645 0.513 0.923
O 0.964 0.174 0.304
O 0.487 0.135 0.923
S 0.049 0.675 0.417
S 0.298 0.287 0.751
O 0.864 0.366 0.639
S 0.381 0.037 0.585
O 0.474 0.165 0.242
O 0.856 0.349 0.925
O 0.367 0.861 0.574
S 0.656 0.037 0.085
O 0.142 0.509 0.574
O 0.182 0.220 0.696
Al 0.659 0.345 0.189
O 0.164 0.704 0.471
O 0.198 0.018 0.590
O 0.841 0.294 0.527
O 0.868 0.513 0.423
S 0.296 0.006 0.252
O 0.804 0.836 0.908
O 0.821 0.801 0.590
O 0.473 0.300 0.740
Al 0.999 0.998 0.855
P 0.323 0.368 0.418
Al 0.326 0.647 0.022
O 0.981 0.801 0.090
O 0.029 0.184 0.905
O 0.827 0.300 0.240
O 0.450 0.152 0.529
S 0.326 0.952 0.919
O 0.803 0.967 0.409
S 0.711 0.006 0.752
O 0.628 0.504 0.637
O 0.495 0.861 0.074
Sn 0.666 0.332 0.980
Sn 0.001 0.002 0.146
P 0.382 0.340 0.085
P 0.721 0.711 0.252
O 0.037 0.220 0.196
Sn 0.001 0.002 0.646
O 0.514 0.635 0.861
O 0.493 0.349 0.425
O 0.633 0.127 0.138
O 0.530 0.842 0.759
O 0.032 0.836 0.408
O 0.150 0.471 0.257
O 0.301 0.839 0.971
O 0.499 0.639 0.575
O 0.792 0.827 0.194
O 0.372 0.884 0.863
O 0.322 0.471 0.757
O 0.167 0.464 0.973
O 0.115 0.487 0.861
P 0.045 0.368 0.918
O 0.161 0.692 0.756
O 0.367 0.509 0.074
O 0.540 0.704 0.971
Al 0.686 0.345 0.689
Sn 0.666 0.332 0.480
O 0.210 0.174 0.804
O 0.820 0.018 0.090
O 0.183 0.964 0.196
O 0.828 0.037 0.804
O 0.141 0.639 0.075
O 0.691 0.165 0.742
O 0.703 0.527 0.241
O 0.191 0.172 0.091
O 0.647 0.135 0.423
O 0.876 0.504 0.137
O 0.531 0.692 0.256
O 0.502 0.366 0.139
Al 0.321 0.647 0.522
O 0.849 0.550 0.029
```

ΔE_f = -2.27 eV/atom
Theoretical density = 3.1 g cm⁻³
Symmetry = Cc (9)


| no. | raw total energy (eV/atom) |
| --- | --- |
| 1 | -6.8232 |
| 2 | -6.5371 |